[1]
Here is an optimized crystal structure of BeSbAs2 from the Materials Project database. Energies are from PBE-GGA.

Structure (POSCAR):
```
BeSbAs2
1.0
6.761 0.000 0.000
0.000 6.761 0.000
0.000 0.000 6.761
Be Sb As
4 4 8
Direct
0.000 0.000 0.000
0.000 0.500 0.500
0.500 0.000 0.500
0.500 0.500 0.000
0.000 0.000 0.500
0.000 0.500 0.000
0.500 0.000 0.000
0.500 0.500 0.500
0.250 0.250 0.250
0.250 0.250 0.750
0.250 0.750 0.250
0.250 0.750 0.750
0.750 0.250 0.250
0.750 0.250 0.750
0.750 0.750 0.250
0.750 0.750 0.750
```

Calculated values
- SG: No. 225



[2]
Here is an optimized crystal structure of RbBiAs6H24C8S12N2 from the Materials Project database. Energies are from PBE-GGA.

Structure (POSCAR):
```
RbBiAs6H24C8S12N2
1.0
5.022 2.899 9.557
-5.022 2.899 9.557
0.000 -5.799 9.557
Rb Bi As H C S N
1 1 6 24 8 12 2
Direct
0.000 0.000 0.000
0.500 0.500 0.500
0.078 0.807 0.695
0.193 0.305 0.922
0.305 0.922 0.193
0.695 0.078 0.807
0.807 0.695 0.078
0.922 0.193 0.305
0.079 0.488 0.369
0.130 0.269 0.332
0.169 0.215 0.554
0.215 0.554 0.169
0.244 0.517 0.332
0.269 0.332 0.130
0.332 0.130 0.269
0.332 0.244 0.517
0.369 0.079 0.488
0.446 0.831 0.785
0.483 0.668 0.756
0.488 0.369 0.079
0.512 0.631 0.921
0.517 0.332 0.244
0.554 0.169 0.215
0.631 0.921 0.512
0.668 0.756 0.483
0.668 0.870 0.731
0.731 0.668 0.870
0.756 0.483 0.668
0.785 0.446 0.831
0.831 0.785 0.446
0.870 0.731 0.668
0.921 0.512 0.631
0.204 0.480 0.294
0.256 0.256 0.256
0.294 0.204 0.480
0.480 0.294 0.204
0.520 0.706 0.796
0.706 0.796 0.520
0.744 0.744 0.744
0.796 0.520 0.706
0.044 0.925 0.327
0.075 0.673 0.956
0.206 0.449 0.670
0.327 0.044 0.925
0.330 0.794 0.551
0.449 0.670 0.206
0.551 0.330 0.794
0.670 0.206 0.449
0.673 0.956 0.075
0.794 0.551 0.330
0.925 0.327 0.044
0.956 0.075 0.673
0.308 0.308 0.308
0.692 0.692 0.692
```

Calculated values
- SG: No. 148



[3]
Here is an optimized crystal structure of Li2BiAsCO7 from the Materials Project database. Energies are from PBE-GGA.

Structure (POSCAR):
```
Li2BiAsCO7
1.0
5.139 0.000 0.000
0.000 7.173 0.000
-0.049 0.000 9.344
Li Bi As C O
4 2 2 2 14
Direct
0.213 0.057 0.210
0.213 0.443 0.210
0.787 0.557 0.790
0.787 0.943 0.790
0.221 0.250 0.640
0.779 0.750 0.360
0.272 0.750 0.613
0.728 0.250 0.387
0.256 0.250 0.931
0.744 0.750 0.069
0.032 0.250 0.860
0.121 0.559 0.688
0.121 0.941 0.688
0.227 0.750 0.428
0.261 0.250 0.067
0.399 0.250 0.359
0.468 0.250 0.853
0.532 0.750 0.147
0.601 0.750 0.641
0.739 0.750 0.933
0.773 0.250 0.572
0.879 0.059 0.312
0.879 0.441 0.312
0.968 0.750 0.140
```

Calculated values
- SG: No. 11



Number 1: formation energy from the elements 0.629 eV per atom. Number 2: formation energy from the elements -0.326 eV per atom. Number 3: formation energy from the elements -1.950 eV per atom.